No. 1
Ta2VIr after structural relaxation. Source: the Materials Project, functional PBE.

Cell: 4.4879 4.4879 4.4879 Å, 60.00 60.00 60.00°
With the nearest neighbours (Å) after each atom.
Sites, in units of the cell vectors:
Ta (0.2500, 0.2500, 0.2500)  4 Ir 2.75, 4 V 2.75
Ta (0.7500, 0.7500, 0.7500)  4 Ir 2.75, 4 V 2.75
V (0.0000, 0.0000, 0.0000)  8 Ta 2.75
Ir (0.5000, 0.5000, 0.5000)  8 Ta 2.75

calculated formation energy: -377 meV/atom

---

No. 2
Tb5Ir3 after structural relaxation. Source: the Materials Project, functional PBE.

Cell: 10.9605 10.9605 6.3987 Å, 90.00 90.00 90.00°
With the nearest neighbours (Å) after each atom.
Sites, in units of the cell vectors:
Tb (0.2911, 0.0883, 0.3785)  5 Ir 2.90-3.16
Tb (0.2911, 0.9117, 0.8785)  5 Ir 2.90-3.16
Tb (0.7089, 0.0883, 0.8785)  5 Ir 2.90-3.16
Tb (0.7089, 0.9117, 0.3785)  5 Ir 2.90-3.16
Tb (0.5883, 0.7911, 0.8785)  5 Ir 2.90-3.16
Tb (0.5883, 0.2089, 0.3785)  5 Ir 2.90-3.16
Tb (0.4117, 0.7911, 0.3785)  5 Ir 2.90-3.16
Tb (0.4117, 0.2089, 0.8785)  5 Ir 2.90-3.16
Tb (0.2089, 0.4117, 0.6215)  5 Ir 2.90-3.16
Tb (0.2089, 0.5883, 0.1215)  5 Ir 2.90-3.16
Tb (0.7911, 0.4117, 0.1215)  5 Ir 2.90-3.16
Tb (0.7911, 0.5883, 0.6215)  5 Ir 2.90-3.16
Tb (0.9117, 0.7089, 0.1215)  5 Ir 2.90-3.16
Tb (0.9117, 0.2911, 0.6215)  5 Ir 2.90-3.16
Tb (0.0883, 0.7089, 0.6215)  5 Ir 2.90-3.16
Tb (0.0883, 0.2911, 0.1215)  5 Ir 2.90-3.16
Tb (0.0000, 0.0000, 0.5000)  4 Ir 2.87, 2 Tb 3.20
Tb (0.0000, 0.0000, 0.0000)  4 Ir 2.87, 2 Tb 3.20
Tb (0.5000, 0.5000, 0.0000)  4 Ir 2.87, 2 Tb 3.20
Tb (0.5000, 0.5000, 0.5000)  4 Ir 2.87, 2 Tb 3.20
Ir (0.8463, 0.1537, 0.2500)  8 Tb 2.87-3.16
Ir (0.8463, 0.8463, 0.7500)  8 Tb 2.87-3.16
Ir (0.1537, 0.1537, 0.7500)  8 Tb 2.87-3.16
Ir (0.1537, 0.8463, 0.2500)  8 Tb 2.87-3.16
Ir (0.6537, 0.3463, 0.7500)  8 Tb 2.87-3.16
Ir (0.6537, 0.6537, 0.2500)  8 Tb 2.87-3.16
Ir (0.3463, 0.3463, 0.2500)  8 Tb 2.87-3.16
Ir (0.3463, 0.6537, 0.7500)  8 Tb 2.87-3.16
Ir (0.5000, 0.0000, 0.1203)  8 Tb 2.93-2.99, 2 Ir 3.20
Ir (0.5000, 0.0000, 0.6203)  8 Tb 2.93-2.99, 2 Ir 3.20
Ir (0.0000, 0.5000, 0.8797)  8 Tb 2.93-2.99, 2 Ir 3.20
Ir (0.0000, 0.5000, 0.3797)  8 Tb 2.93-2.99, 2 Ir 3.20

excess energy over the best structure of this formula in the dataset: 0.0 meV per atom
calculated formation energy: -790 meV/atom